Here is a relaxed structure of EuNi2Sb2 from the Materials Project. Energies are from PBE.

Results
DFT formation energy   -0.627 eV per atom
MP2020-corrected energy   -33.2 eV per formula unit
Mass density   8.18 g/cm3

abc: 4.3947 4.3947 6.2214
angles: 110.68 110.68 90.00
Fractional positions:
Sb: 0.3630 0.3630 0.7259
Sb: 0.6370 0.6370 0.2741
Ni: 0.2500 0.7500 0.5000
Ni: 0.7500 0.2500 0.5000
Eu: 0.0000 0.0000 0.0000